Entry 1:
First-principles (PBE-GGA) data for a geometry-optimized TbZnPd structure, as listed in the Materials Project database.

Results
For the energy of formation, the calculation gives -0.751 eV/atom. The value obtained for the uncorrected energy is -39.98 eV/cell.

Cell: 7.3733 7.3733 3.8273 Å, 90.00 90.00 120.00°
With the nearest neighbours (Å) after each atom.
Space group P-62m (No. 189)
Inequivalent atoms, fractional coordinates:
1 Tb 0.0000 0.5933 0.0000 x3  5 Pd 2.94-3.00, 6 Zn 3.16-3.25
2 Zn 0.0000 0.2518 0.5000 x3  4 Pd 2.67-2.81
3 Pd 0.0000 0.0000 0.0000 x1  6 Zn 2.67
4 Pd 0.3333 0.6667 0.5000 x2  3 Zn 2.81, 6 Tb 2.94


Entry 2:
First-principles (PBE-GGA) data for a geometry-optimized Eu2SiS4 structure, as listed in the Materials Project database.

Results
For the energy of formation, the calculation gives -1.821 eV/atom. The value obtained for the uncorrected energy is -106.44 eV/cell.

Cell: 6.5531 6.6082 8.1248 Å, 90.00 108.09 90.00°
With the nearest neighbours (Å) after each atom.
Space group P2_1/m (No. 11)
Inequivalent atoms, fractional coordinates:
1 Eu 0.2171 0.2500 0.0491 x2  6 S 2.92-3.08
2 Eu 0.2720 0.2500 0.5702 x2  6 S 2.97-3.08
3 Si 0.2226 0.7500 0.7977 x2  4 S 2.13
4 S 0.0068 0.0002 0.7377 x4  1 Si 2.13
5 S 0.3917 0.7500 0.0676 x2  1 Si 2.13
6 S 0.4202 0.7500 0.6326 x2  1 Si 2.13


Entry 3:
First-principles (PBE-GGA) data for a geometry-optimized BaY2Cl8 structure, as listed in the Materials Project database.

Results
For the energy of formation, the calculation gives -2.709 eV/atom. The value obtained for the uncorrected energy is -218.13 eV/cell.

Cell: 16.4338 11.0687 10.5547 Å, 90.00 120.13 90.00°
With the nearest neighbours (Å) after each atom.
Space group C2/c (No. 15)
Inequivalent atoms, fractional coordinates:
1 Ba 0.0000 0.0309 0.2500 x4  8 Cl 3.08-3.29
2 Y 0.2170 0.2742 0.7714 x8  4 Cl 2.45-2.73
3 Cl 0.0959 0.1161 0.5874 x8  1 Y 2.63
4 Cl 0.1340 0.4662 0.6748 x8  1 Y 2.45
5 Cl 0.1537 0.1714 0.9446 x8  2 Y 2.73-2.76
6 Cl 0.1536 0.2128 0.2936 x8  1 Y 2.55


Entry 4:
First-principles (PBE-GGA) data for a geometry-optimized Zr3Sn structure, as listed in the Materials Project database.

Results
For the energy of formation, the calculation gives -0.336 eV/atom. The value obtained for the uncorrected energy is -61.99 eV/cell.

Cell: 4.3594 4.3594 9.5511 Å, 90.00 90.00 90.00°
With the nearest neighbours (Å) after each atom.
Space group I4/mmm (No. 139)
Inequivalent atoms, fractional coordinates:
1 Zr 0.0000 0.0000 0.0000 x2  4 Sn 3.08, 8 Zr 3.23
2 Zr 0.0000 0.5000 0.2500 x4  8 Zr 3.08-3.23, 4 Sn 3.23
3 Sn 0.0000 0.0000 0.5000 x2  12 Zr 3.08-3.23